Here is crystalline MgCo6O6F6 at its relaxed geometry from the Materials Project. Energies are from PBE with a Hubbard U.

CIF file:
```
data_MgCo6O6F6
_chemical_formula_sum 'Mg1 Co6 O6 F6'
_cell_length_a 4.832
_cell_length_b 4.898
_cell_length_c 8.945
_cell_angle_alpha 91.21
_cell_angle_beta 90.82
_cell_angle_gamma 90.22
_symmetry_space_group_name_H-M 'P 1'
_symmetry_Int_Tables_number 1
loop_
_symmetry_equiv_pos_as_xyz
'x,y,z'
loop_
_atom_site_label
_atom_site_fract_x
_atom_site_fract_y
_atom_site_fract_z
_atom_site_occupancy
Mg1 0.000 0.000 0.000 1
Co1 0.048 0.505 0.660 1
Co2 0.067 0.490 0.002 1
Co3 0.458 0.995 0.816 1
Co4 0.532 0.062 0.173 1
Co5 0.544 0.070 0.496 1
Co6 0.946 0.540 0.332 1
O1 0.175 0.733 0.840 1
O2 0.343 0.215 0.658 1
O3 0.355 0.205 0.998 1
O4 0.674 0.868 0.332 1
O5 0.810 0.320 0.504 1
O6 0.847 0.294 0.153 1
F1 0.179 0.779 0.165 1
F2 0.187 0.745 0.493 1
F3 0.315 0.268 0.337 1
F4 0.681 0.775 0.999 1
F5 0.683 0.802 0.656 1
F6 0.849 0.237 0.837 1
```

Output
- Total magnetic moment: 0.947 μB per atom
- Raw total energy: -5.3375 eV per atom
- E (MP2020): -118.1 eV/cell
- Crystal system: triclinic



Here is crystalline MgCo6O7F5 at its relaxed geometry from the Materials Project. Energies are from PBE with a Hubbard U.

CIF file:
```
data_MgCo6O7F5
_chemical_formula_sum 'Mg1 Co6 O7 F5'
_cell_length_a 5.071
_cell_length_b 5.669
_cell_length_c 7.670
_cell_angle_alpha 80.50
_cell_angle_beta 81.74
_cell_angle_gamma 79.28
_symmetry_space_group_name_H-M 'P 1'
_symmetry_Int_Tables_number 1
loop_
_symmetry_equiv_pos_as_xyz
'x,y,z'
loop_
_atom_site_label
_atom_site_fract_x
_atom_site_fract_y
_atom_site_fract_z
_atom_site_occupancy
Mg1 0.000 0.000 0.000 1
Co1 0.024 0.365 0.186 1
Co2 0.496 0.162 0.820 1
Co3 0.498 0.840 0.177 1
Co4 0.568 0.552 0.522 1
Co5 0.975 0.634 0.808 1
Co6 0.989 0.992 0.500 1
O1 0.305 0.133 0.064 1
O2 0.307 0.795 0.410 1
O3 0.329 0.469 0.728 1
O4 0.694 0.869 0.938 1
O5 0.700 0.557 0.282 1
O6 0.707 0.217 0.598 1
O7 0.806 0.724 0.592 1
F1 0.172 0.264 0.412 1
F2 0.176 0.975 0.754 1
F3 0.178 0.659 0.062 1
F4 0.828 0.347 0.946 1
F5 0.829 0.040 0.249 1
```

Output
- Total magnetic moment: 0.790 μB per atom
- Raw total energy: -5.4599 eV per atom
- E (MP2020): -120.7 eV/cell
- Crystal system: triclinic



Result set for energy relative to the elements: -1.7215 -1.6961 eV per atom, one per record in the order listed.